Compound: AgC2O2
Source: the Materials Project database
Functional: PBE-GGA
Structure: optimized geometry

Cell: 11.1183 11.1183 7.5424 Å, 73.36 73.36 39.03°
Fractional positions:
C 0.3582 0.6357 0.9865
C 0.9998 0.4897 0.6418
C 0.4495 0.4532 0.5913
C 0.9873 0.6064 0.4751
C 0.5103 0.0002 0.8582
C 0.4897 0.9998 0.1418
C 0.0002 0.5103 0.3582
C 0.6357 0.3582 0.4865
C 0.5505 0.5468 0.4087
C 0.6064 0.9873 0.9751
C 0.4532 0.4495 0.0913
C 0.3936 0.0127 0.0249
C 0.5468 0.5505 0.9087
C 0.3643 0.6418 0.5135
C 0.6418 0.3643 0.0135
C 0.0127 0.3936 0.5249
O 0.2633 0.0300 0.0517
O 0.0300 0.2633 0.5517
O 0.4790 0.0009 0.3122
O 0.1988 0.8137 0.5304
O 0.5210 0.9991 0.6878
O 0.3946 0.3902 0.2006
O 0.1863 0.8012 0.9696
O 0.0009 0.4790 0.8122
O 0.3902 0.3946 0.7006
O 0.6098 0.6054 0.2994
O 0.9991 0.5210 0.1878
O 0.8137 0.1988 0.0304
O 0.8012 0.1863 0.4696
O 0.9700 0.7367 0.4483
O 0.7367 0.9700 0.9483
O 0.6054 0.6098 0.7994
Ag 0.9315 0.8965 0.6832
Ag 0.8965 0.9315 0.1832
Ag 0.8578 0.4573 0.0767
Ag 0.5427 0.1422 0.4233
Ag 0.0685 0.1035 0.3168
Ag 0.4573 0.8578 0.5767
Ag 0.1422 0.5427 0.9233
Ag 0.1035 0.0685 0.8168

Properties
As for the formation enthalpy at 0 K: -0.6464 eV per atom. As for the relative energy among the computed polymorphs: 0 meV/atom. The symmetry is No. 15.


Compound: Ca3Ag8
Source: the Materials Project database
Functional: PBE-GGA
Structure: optimized geometry

Cell: 8.6926 8.6926 8.6926 Å, 109.47 109.47 109.47°
Fractional positions:
Ag 0.6566 0.6566 0.3132
Ag 0.3132 0.6566 0.6566
Ag 0.3434 0.6868 0.3434
Ag 0.6566 0.3132 0.6566
Ag 0.0000 0.3434 0.6566
Ag 0.6566 0.0000 0.3434
Ag 0.6566 0.3434 0.0000
Ag 0.3434 0.0000 0.6566
Ag 0.0000 0.5000 0.0000
Ag 0.3434 0.3434 0.6868
Ag 0.5000 0.5000 0.5000
Ag 0.6868 0.3434 0.3434
Ag 0.0000 0.0000 0.5000
Ag 0.3434 0.6566 0.0000
Ag 0.0000 0.6566 0.3434
Ag 0.5000 0.0000 0.0000
Ca 0.0000 0.7224 0.7224
Ca 0.2776 0.0000 0.2776
Ca 0.0000 0.2776 0.2776
Ca 0.2776 0.2776 0.0000
Ca 0.7224 0.7224 0.0000
Ca 0.7224 0.0000 0.7224

Properties
As for the formation enthalpy at 0 K: -0.2339 eV per atom. The symmetry is No. 229.


Compound: CaAg
Source: the Materials Project database
Functional: PBE-GGA
Structure: optimized geometry

Cell: 6.0408 6.0408 4.7119 Å, 90.00 90.00 140.25°
Fractional positions:
Ca 0.8588 0.1412 0.2500
Ca 0.1412 0.8588 0.7500
Ag 0.5750 0.4250 0.2500
Ag 0.4250 0.5750 0.7500

Properties
As for the formation enthalpy at 0 K: -0.3372 eV per atom. The symmetry is No. 63.


Compound: CaCeAg2
Source: the Materials Project database
Functional: PBE-GGA
Structure: optimized geometry

Cell: 5.2926 5.2926 5.2926 Å, 60.00 60.00 60.00°
Fractional positions:
Ca 0.5000 0.5000 0.5000
Ce 0.0000 0.0000 0.0000
Ag 0.2500 0.2500 0.2500
Ag 0.7500 0.7500 0.7500

Properties
As for the formation enthalpy at 0 K: -0.2006 eV per atom. The symmetry is No. 225.


Compound: Ca2CuAg
Source: the Materials Project database
Functional: PBE-GGA
Structure: optimized geometry

Cell: 5.9542 5.9542 4.5353 Å, 90.00 90.00 139.70°
Fractional positions:
Ca 0.1413 0.8587 0.0000
Ca 0.8582 0.1418 0.5000
Cu 0.5688 0.4312 0.5000
Ag 0.4317 0.5683 0.0000

Properties
As for the formation enthalpy at 0 K: -0.2248 eV per atom. The symmetry is No. 38.


Compound: Ca2La3Cu4AgO12
Source: the Materials Project database
Functional: PBE-GGA
Structure: optimized geometry

Cell: 10.1296 10.1296 5.3837 Å, 90.00 90.00 149.19°
Fractional positions:
Ag 0.3112 0.6888 0.5000
O 0.8342 0.6639 0.7506
O 0.7967 0.2033 0.5000
O 0.8342 0.6639 0.2494
O 0.1954 0.8046 0.5000
O 0.6795 0.8350 0.2429
O 0.3361 0.1658 0.7506
O 0.1650 0.3205 0.7571
O 0.2971 0.7029 0.0000
O 0.1650 0.3205 0.2429
O 0.7059 0.2941 0.0000
O 0.3361 0.1658 0.2494
O 0.6795 0.8350 0.7571
La 0.6782 0.3218 0.5000
La 0.8257 0.1743 0.0000
La 0.1800 0.8200 0.0000
Cu 0.0857 0.9143 0.5000
Cu 0.4094 0.5906 0.0000
Cu 0.9086 0.0914 0.5000
Cu 0.5832 0.4168 0.0000
Ca 0.0017 0.9983 0.0000
Ca 0.4917 0.5083 0.5000

Properties
As for the formation enthalpy at 0 K: -2.2674 eV per atom. The symmetry is No. 38.


What is the formation enthalpy at 0 K in the fifth record?
-0.2248 eV per atom